Cr4OF11: optimized geometry, PBE with a Hubbard U.

Geometry as extended XYZ:
```
16
Lattice="1.3939 2.1118 4.4302 6.9692 -1.6620 -1.4005 0.2561 4.8121 -2.3744" Properties=species:S:1:pos:R:3 pbc="T T T"
Cr 5.1309 6.0891 1.3510
Cr 1.3940 2.1101 4.4235
Cr 4.3859 2.6183 0.3234
Cr 7.7244 1.8225 -0.3477
O 6.2196 2.4696 0.5107
F 6.4407 0.5924 2.8073
F 2.4174 2.8193 0.2013
F 1.9157 -0.1528 0.2010
F 1.6144 3.0928 2.7632
F 4.3778 4.2996 1.3184
F 4.0797 1.6451 1.9869
F 1.5849 5.2508 1.0531
F 7.0214 0.0093 -0.4058
F 4.5463 3.6093 -1.3432
F 4.2483 0.9570 -0.6797
F 6.9898 2.1623 -2.1168
```

symmetry: P2
piezoelectric modulus e_max: 0.1 C/m²
raw total energy: -6.06 eV per atom
excess energy over the best structure of this formula in the dataset: 0.001 eV per atom
total energy after the MP2020 corrections: -110.682 eV/f.u.
crystal system: monoclinic
energy relative to the elements: -2879 meV/atom